(1)
## Na2TeH10O8 (GGA-PBE)

Data for a relaxed Na2TeH10O8 crystal.

Results
The formation energy from the elements comes out at -30.10 eV/f.u. The electronic total energy comes out at -4.948 eV/atom. Its space-group type is C2/c, No. 15. For the total moment, the calculation gives 0.000 μB per cell.

Geometry as POSCAR:
```
Na2TeH10O8
1.0
3.756 6.770 0.000
-3.756 6.770 0.000
0.000 2.272 17.596
O H Te Na
32 40 4 8
Cartesian
-0.116 5.619 2.697
0.155 2.362 15.484
1.351 10.976 2.282
-1.866 8.290 8.847
0.116 10.194 14.899
1.808 9.427 11.705
-1.808 6.386 5.891
-1.461 9.431 11.809
1.351 3.701 6.516
-0.335 5.074 8.786
0.155 14.587 10.911
-0.155 13.451 2.113
1.554 4.887 15.467
1.808 7.522 14.689
-1.351 4.837 15.314
-1.866 8.659 17.547
1.554 12.062 10.928
-1.351 12.112 11.080
-0.335 9.603 0.012
-0.116 9.058 6.101
0.335 6.210 17.584
1.866 7.523 8.749
-1.461 7.518 14.585
1.461 6.382 5.787
0.116 6.755 11.495
-1.554 3.751 6.669
0.335 10.739 8.811
1.461 8.295 3.011
-1.808 8.291 2.907
-1.554 10.926 2.130
1.866 7.154 0.049
-0.155 1.226 6.686
0.927 10.763 15.050
1.867 6.549 14.887
-2.288 8.019 14.805
0.671 9.639 6.259
-1.610 6.551 14.765
2.288 7.794 2.792
-0.927 5.050 2.546
0.671 5.037 2.540
-2.471 6.310 0.722
0.927 6.186 11.344
1.610 5.415 5.967
0.762 5.608 16.910
-0.762 4.471 8.111
2.475 7.789 7.999
-0.671 10.776 15.057
-0.927 9.627 6.252
-1.867 5.413 6.088
-2.475 8.024 9.597
2.288 6.883 6.006
-1.008 5.243 9.487
-2.475 8.926 16.798
-0.762 10.205 0.687
2.475 6.888 0.799
-0.671 6.174 11.338
0.762 11.342 9.485
-1.867 9.264 2.710
-1.610 10.398 11.629
2.471 7.446 9.520
1.008 10.570 8.110
2.632 8.974 11.368
2.471 9.503 16.875
1.008 4.107 0.688
-2.288 8.930 11.590
-2.471 8.367 8.076
-2.632 6.839 6.228
1.867 10.400 11.508
2.632 7.975 15.026
-2.632 7.838 2.570
-1.008 11.706 16.908
1.610 9.262 2.831
0.150 12.942 11.866
-0.150 2.871 5.730
0.150 4.007 14.529
-0.150 11.806 3.068
0.149 8.215 16.282
-0.222 7.338 4.399
-0.149 7.598 1.315
0.149 8.734 10.113
0.222 8.475 13.197
-0.149 7.079 7.483
1.878 4.521 8.798
-1.878 3.385 0.000
```

(2)
## Na2Te2H4O7 (GGA-PBE)

Data for a relaxed Na2Te2H4O7 crystal.

Results
The formation energy from the elements comes out at -23.48 eV/f.u. The electronic total energy comes out at -5.054 eV/atom. Its space-group type is P-1, No. 2. For the total moment, the calculation gives 0.000 μB per cell.

Geometry as POSCAR:
```
Na2Te2H4O7
1.0
5.741 0.000 0.000
-1.426 6.171 0.000
-0.572 -0.926 11.698
O H Te Na
14 8 4 4
Cartesian
-0.069 5.381 5.813
2.434 5.265 11.106
4.491 0.007 8.411
-1.158 4.027 9.604
4.902 1.218 2.094
3.844 2.975 7.179
-0.101 2.271 4.519
1.257 3.019 1.354
1.309 -0.020 0.592
3.812 -0.136 5.885
-0.747 5.239 3.287
1.800 4.226 3.780
2.487 2.227 10.344
1.944 1.019 7.918
1.394 3.520 2.206
0.504 2.396 1.550
-0.371 1.820 3.668
2.350 1.726 9.492
3.239 2.849 10.148
3.164 2.307 7.445
0.579 2.938 4.252
4.114 3.426 8.030
2.403 -0.326 4.243
1.340 5.571 7.455
4.089 5.678 1.606
-0.345 -0.433 10.092
-0.117 1.202 6.635
3.063 1.637 0.581
0.680 3.609 11.117
3.861 4.043 5.063
```

(3)
## Na2TiH4O5 (GGA-PBE)

Data for a relaxed Na2TiH4O5 crystal.

Results
The formation energy from the elements comes out at -21.63 eV/f.u. The electronic total energy comes out at -5.587 eV/atom. Its space-group type is Immm, No. 71. For the total moment, the calculation gives 0.005 μB per cell.

Geometry as POSCAR:
```
Na2TiH4O5
1.0
0.437 1.588 -2.570
3.822 1.020 1.280
1.933 -10.368 -4.267
Na H O Ti
2 4 5 1
Cartesian
3.355 -7.485 -4.056
2.837 -0.275 -1.501
4.277 -2.993 -1.123
3.337 -4.388 -3.958
2.855 -3.372 -1.599
1.915 -4.767 -4.434
0.687 -0.252 -1.852
2.847 -5.070 -4.463
5.505 -7.508 -3.705
1.911 0.510 0.640
3.345 -2.690 -1.094
0.000 0.000 0.000
```

(4)
## Na2TiH4O5 (GGA-PBE)

Data for a relaxed Na2TiH4O5 crystal.

Results
The formation energy from the elements comes out at -22.38 eV/f.u. The electronic total energy comes out at -5.650 eV/atom. Its space-group type is P-1, No. 2. For the total moment, the calculation gives 0.498 μB per cell.

Geometry as POSCAR:
```
Na2TiH4O5
1.0
3.057 0.000 0.000
-0.009 4.222 0.000
-0.950 -0.873 21.657
Na H Ti O
4 8 2 10
Cartesian
1.526 2.107 1.710
1.042 3.780 9.117
1.056 -0.430 12.540
0.571 1.242 19.947
2.272 -0.113 6.580
0.752 0.154 15.985
1.795 1.395 17.394
0.845 2.267 16.499
1.252 1.083 5.158
0.303 1.954 4.263
-0.175 3.463 15.077
1.346 3.196 5.672
-0.480 1.675 10.829
0.000 0.000 0.000
1.048 1.670 9.535
-0.005 2.111 0.000
-0.475 -0.436 10.829
1.529 -0.003 1.293
1.050 1.680 12.122
1.355 -0.198 6.242
1.227 1.915 4.594
0.569 3.353 20.364
0.871 1.434 17.063
0.743 3.548 15.416
```

(5)
## NaZnH3O3 (GGA-PBE)

Data for a relaxed NaZnH3O3 crystal.

Results
The formation energy from the elements comes out at -12.21 eV/f.u. The electronic total energy comes out at -4.720 eV/atom. Its space-group type is P4_2bc, No. 106. For the piezoelectric modulus e_max, the calculation gives 1.08 C/m2. For the total moment, the calculation gives 0.001 μB per cell.

Geometry as POSCAR:
```
NaZnH3O3
1.0
10.941 0.000 0.000
0.000 10.941 0.000
0.000 0.000 5.421
H Zn O Na
24 8 24 8
Cartesian
6.942 3.397 5.092
1.472 2.073 5.092
5.599 1.460 4.894
2.073 9.469 2.382
3.539 9.403 4.047
9.469 8.868 5.092
1.460 5.342 2.184
3.999 7.544 5.092
9.010 7.009 4.047
8.868 1.472 2.382
0.128 4.011 4.894
4.011 10.813 2.184
7.544 6.942 2.382
6.930 0.128 2.184
3.932 9.010 1.336
9.481 5.599 2.184
10.813 6.930 4.894
1.931 3.932 4.047
1.538 3.539 1.336
7.402 1.538 4.047
3.397 3.999 2.382
9.403 7.402 1.336
5.342 9.481 4.894
7.009 1.931 1.336
7.621 10.348 5.327
0.593 7.621 2.617
2.150 6.064 5.327
6.064 8.791 2.617
4.877 2.150 2.617
3.320 0.593 5.327
10.348 3.320 2.617
8.791 4.877 5.327
0.760 7.257 4.601
4.119 8.897 2.300
2.044 4.119 5.011
9.849 1.424 2.321
7.514 1.351 5.011
1.786 6.231 1.891
9.155 4.710 1.891
7.257 10.181 1.891
3.684 0.760 1.891
6.563 6.894 2.321
6.822 2.044 2.300
8.897 6.822 5.011
4.378 4.047 2.321
6.894 4.378 5.032
4.047 6.563 5.032
3.427 9.590 5.011
1.351 3.427 2.300
4.710 1.786 4.601
9.517 9.849 5.032
10.181 3.684 4.601
1.424 1.092 5.032
1.092 9.517 2.321
6.231 9.155 4.601
9.590 7.514 2.300
6.849 4.470 2.521
1.379 1.001 2.521
4.092 6.471 2.521
1.001 9.562 5.231
9.562 9.940 2.521
9.940 1.379 5.231
4.470 4.092 5.231
6.471 6.849 5.231
```

(6)
## Na2ZnH4O4 (GGA-PBE)

Data for a relaxed Na2ZnH4O4 crystal.

Results
The formation energy from the elements comes out at -16.89 eV/f.u. The electronic total energy comes out at -4.674 eV/atom. Its space-group type is P2_1/c, No. 14. For the total moment, the calculation gives 0.000 μB per cell.

Geometry as POSCAR:
```
Na2ZnH4O4
1.0
6.632 0.000 0.000
0.000 8.094 0.000
0.000 7.498 8.683
H O Zn Na
16 16 4 8
Cartesian
6.392 13.033 6.272
6.331 6.058 4.124
4.574 9.193 4.018
1.258 2.650 0.324
2.699 3.641 2.097
3.617 9.807 8.466
3.015 5.785 0.217
6.015 8.201 2.245
3.933 11.950 6.586
3.076 6.307 6.752
0.240 2.558 2.411
3.555 9.284 1.931
0.301 9.534 4.559
2.058 6.399 4.665
0.617 7.390 6.438
5.374 12.942 8.359
4.599 9.774 8.479
3.531 3.633 2.598
5.003 5.527 0.573
2.032 5.817 0.203
0.004 12.096 6.328
6.417 7.382 6.940
5.348 6.025 4.138
3.101 11.959 6.084
0.215 8.210 1.743
3.320 7.245 6.696
4.944 9.276 4.915
6.627 3.496 2.355
3.312 8.347 1.986
1.629 10.065 8.109
1.687 6.316 3.768
1.284 9.566 4.545
1.670 8.265 3.136
4.961 7.327 5.547
4.986 3.578 1.205
1.646 12.014 7.478
4.980 8.022 0.069
2.903 9.497 6.183
3.729 6.094 2.500
1.664 3.820 4.272
0.413 5.748 1.841
6.219 9.843 6.841
4.967 11.771 4.410
1.652 7.569 8.614
```

(7)
## NaZnH9O6 (GGA-PBE)

Data for a relaxed NaZnH9O6 crystal.

Results
The formation energy from the elements comes out at -23.25 eV/f.u. The electronic total energy comes out at -4.820 eV/atom. Its space-group type is P-1, No. 2. For the total moment, the calculation gives 0.001 μB per cell.

Geometry as POSCAR:
```
NaZnH9O6
1.0
3.467 0.000 0.000
-0.318 8.195 0.000
-1.605 -0.920 11.027
H O Zn Na
18 12 2 2
Cartesian
-0.691 -0.124 7.470
0.092 7.937 1.381
1.008 6.780 4.247
1.646 6.150 10.230
-0.102 1.125 0.797
0.114 0.762 10.368
0.477 2.219 5.408
-0.697 4.117 10.165
2.241 3.158 0.862
-0.519 5.342 4.140
2.235 7.399 3.557
1.067 5.055 5.619
0.536 0.495 6.780
1.452 -0.662 9.646
1.291 3.901 6.670
1.430 6.513 0.659
2.063 1.933 6.888
0.253 3.374 4.357
0.070 -0.366 6.902
1.147 2.193 7.105
0.215 0.686 1.629
0.492 6.243 0.714
2.193 3.676 1.699
1.474 7.641 4.125
0.397 5.081 3.922
1.364 4.887 6.548
1.052 1.032 10.314
-0.649 3.599 9.328
0.180 2.388 4.479
1.329 6.589 9.398
0.459 4.675 1.958
1.085 2.600 9.069
1.919 1.564 3.134
-0.375 5.711 7.894
```

(8)
## NaPH6 (GGA-PBE)

Data for a relaxed NaPH6 crystal.

Results
The formation energy from the elements comes out at -0.13 eV/f.u. The electronic total energy comes out at -3.268 eV/atom. Its space-group type is Fm-3m, No. 225. For the total moment, the calculation gives 0.000 μB per cell.

Geometry as POSCAR:
```
NaPH6
1.0
0.000 3.716 3.716
3.716 0.000 3.716
3.716 3.716 0.000
Na H P
1 6 1
Cartesian
3.716 3.716 3.716
3.716 3.716 5.942
1.490 3.716 3.716
3.716 3.716 1.490
5.942 3.716 3.716
3.716 5.942 3.716
3.716 1.490 3.716
0.000 0.000 0.000
```

(9)
## NaH2Pd3 (GGA-PBE)

Data for a relaxed NaH2Pd3 crystal.

Results
The formation energy from the elements comes out at -1.07 eV/f.u. The electronic total energy comes out at -4.120 eV/atom. Its space-group type is Cmmm, No. 65.

Geometry as POSCAR:
```
NaH2Pd3
1.0
2.857 -4.341 0.000
2.857 4.341 0.000
0.000 0.000 2.850
Pd H Na
3 2 1
Cartesian
1.428 -2.170 1.425
0.000 0.000 0.000
1.428 2.170 1.425
2.857 -2.481 0.000
2.857 2.481 0.000
2.857 0.000 0.000
```

(10)
## Na4H4PdPt (GGA-PBE)

Data for a relaxed Na4H4PdPt crystal.

Results
The formation energy from the elements comes out at -2.78 eV/f.u. The electronic total energy comes out at -3.290 eV/atom. Its space-group type is P4/mmm, No. 123. For the total moment, the calculation gives 0.001 μB per cell.

Geometry as POSCAR:
```
Na4H4PdPt
1.0
3.639 0.000 0.000
0.000 3.639 0.000
0.000 0.000 11.276
Na Pt H Pd
4 1 4 1
Cartesian
1.819 1.819 9.711
1.819 1.819 1.565
0.000 0.000 4.121
0.000 0.000 7.154
1.819 1.819 5.638
0.000 0.000 9.576
1.819 1.819 7.311
1.819 1.819 3.965
0.000 0.000 1.699
0.000 0.000 0.000
```

(11)
## Na4H8PdPt (GGA-PBE)

Data for a relaxed Na4H8PdPt crystal.

Results
The formation energy from the elements comes out at -4.23 eV/f.u. The electronic total energy comes out at -3.423 eV/atom. Its space-group type is C2/m, No. 12. For the total moment, the calculation gives 0.001 μB per cell.

Geometry as POSCAR:
```
Na4H8PdPt
1.0
4.214 -2.147 -1.763
-4.114 -0.440 -2.891
0.080 7.496 -4.165
Pd Na H Pt
1 4 8 1
Cartesian
0.090 2.454 -4.410
-0.987 -0.144 -2.988
1.167 5.053 -5.831
3.230 2.752 -4.508
-3.050 2.157 -4.311
-0.823 6.289 -4.855
-0.767 4.840 -7.460
0.991 3.656 -3.721
0.947 0.068 -1.359
1.003 -1.380 -3.965
-0.811 1.253 -5.098
-0.855 2.388 -3.056
1.035 2.521 -5.763
0.000 0.000 0.000
```

(12)
## Na2H4Pt (GGA-PBE)

Data for a relaxed Na2H4Pt crystal.

Results
The formation energy from the elements comes out at -2.52 eV/f.u. The electronic total energy comes out at -3.544 eV/atom. Its space-group type is I4/mmm, No. 139.

Geometry as POSCAR:
```
Na2H4Pt
1.0
0.462 3.428 3.654
3.673 -3.418 -0.372
3.744 3.327 -0.481
H Pt Na
4 1 2
Cartesian
3.934 3.351 1.166
5.770 -0.071 -0.663
1.647 -0.020 -0.189
3.946 -0.015 1.635
0.000 0.000 0.000
5.794 1.645 1.187
2.086 1.691 1.614
```